#i
Compound: Na9Mg4Nb2P9O36
Source: the Materials Project
Functional: PBE-GGA
Structure: optimized geometry

The value obtained for the total magnetization is 0.000 Bohr magnetons per cell.

Cell lengths 15.5540, 26.8567, 8.9152 Å; angles 89.88, 125.02, 90.06 degrees
Positions (direct):
1 Na 0.2609 0.2492 0.0285
2 Na 0.2473 0.5822 0.0002
3 Na 0.2499 0.9180 0.0039
4 Na 0.7556 0.2514 0.5159
5 Na 0.7621 0.5898 0.5307
6 Na 0.7526 0.9091 0.5225
7 Na 0.7473 0.0822 0.0002
8 Na 0.7499 0.4180 0.0039
9 Na 0.7609 0.7492 0.0285
10 Na 0.2621 0.0898 0.5307
11 Na 0.2526 0.4091 0.5225
12 Na 0.2556 0.7514 0.5159
13 Na 0.4940 0.0402 0.7375
14 Na 0.4960 0.3752 0.7386
15 Na 0.4962 0.7023 0.7552
16 Na 0.5011 0.2996 0.2693
17 Na 0.4925 0.6292 0.2487
18 Na 0.4985 0.9678 0.2654
19 Na 0.9962 0.2023 0.7552
20 Na 0.9940 0.5402 0.7375
21 Na 0.9960 0.8752 0.7386
22 Na 0.9925 0.1292 0.2487
23 Na 0.9985 0.4678 0.2654
24 Na 0.0011 0.7996 0.2693
25 Na 0.8221 0.9763 0.2157
26 Na 0.1868 0.6381 0.2988
27 Na 0.1959 0.9732 0.3057
28 Na 0.1845 0.6886 0.7558
29 Na 0.8055 0.0200 0.7128
30 Na 0.8048 0.3561 0.7049
31 Na 0.3221 0.4763 0.2157
32 Na 0.6868 0.1381 0.2988
33 Na 0.6959 0.4732 0.3057
34 Na 0.6845 0.1886 0.7558
35 Na 0.3055 0.5200 0.7128
36 Na 0.3048 0.8561 0.7049
37 Mg 0.0967 0.5846 0.5570
38 Mg 0.1034 0.9200 0.5641
39 Mg 0.8978 0.2511 0.9458
40 Mg 0.8970 0.5843 0.9471
41 Mg 0.8973 0.9163 0.9461
42 Mg 0.8984 0.0821 0.4424
43 Mg 0.8968 0.4157 0.4378
44 Mg 0.8956 0.7482 0.4389
45 Mg 0.5967 0.0846 0.5570
46 Mg 0.6034 0.4200 0.5641
47 Mg 0.3970 0.0843 0.9471
48 Mg 0.3973 0.4163 0.9461
49 Mg 0.3978 0.7511 0.9458
50 Mg 0.3956 0.2482 0.4389
51 Mg 0.3984 0.5821 0.4424
52 Mg 0.3968 0.9157 0.4378
53 Nb 0.1087 0.2518 0.5618
54 Nb 0.1070 0.0837 0.0589
55 Nb 0.1063 0.4132 0.0602
56 Nb 0.1036 0.7492 0.0614
57 Nb 0.6087 0.7518 0.5618
58 Nb 0.6036 0.2492 0.0614
59 Nb 0.6070 0.5837 0.0589
60 Nb 0.6063 0.9132 0.0602
61 P 0.9971 0.3180 0.7391
62 P 0.9976 0.6507 0.7456
63 P 0.9987 0.9843 0.7429
64 P 0.9992 0.0157 0.2439
65 P 0.9949 0.3489 0.2371
66 P 0.9996 0.6817 0.2540
67 P 0.4976 0.1507 0.7456
68 P 0.4987 0.4843 0.7429
69 P 0.4971 0.8180 0.7391
70 P 0.4996 0.1817 0.2540
71 P 0.4992 0.5157 0.2439
72 P 0.4949 0.8489 0.2371
73 P 0.3547 0.2984 0.7462
74 P 0.3499 0.6325 0.7488
75 P 0.3518 0.9652 0.7505
76 P 0.6452 0.3000 0.7384
77 P 0.6443 0.6325 0.7333
78 P 0.6460 0.9656 0.7382
79 P 0.6477 0.0326 0.2440
80 P 0.6455 0.3678 0.2430
81 P 0.6437 0.7016 0.2354
82 P 0.3544 0.0350 0.2566
83 P 0.3557 0.3675 0.2596
84 P 0.3507 0.7018 0.2486
85 P 0.8499 0.1325 0.7488
86 P 0.8518 0.4652 0.7505
87 P 0.8547 0.7984 0.7462
88 P 0.1443 0.1325 0.7333
89 P 0.1460 0.4656 0.7382
90 P 0.1452 0.8000 0.7384
91 P 0.1437 0.2016 0.2354
92 P 0.1477 0.5326 0.2440
93 P 0.1455 0.8678 0.2430
94 P 0.8507 0.2018 0.2486
95 P 0.8544 0.5350 0.2566
96 P 0.8557 0.8675 0.2596
97 O 0.1489 0.1921 0.7388
98 O 0.1549 0.5229 0.7589
99 O 0.1555 0.8568 0.7573
100 O 0.8416 0.1897 0.7554
101 O 0.8513 0.5217 0.7647
102 O 0.8475 0.8542 0.7635
103 O 0.8420 0.1454 0.2636
104 O 0.8361 0.4784 0.2584
105 O 0.8455 0.8109 0.2568
106 O 0.1502 0.1428 0.2469
107 O 0.1565 0.4730 0.2366
108 O 0.1522 0.8082 0.2322
109 O 0.6549 0.0229 0.7589
110 O 0.6555 0.3568 0.7573
111 O 0.6489 0.6921 0.7388
112 O 0.3513 0.0217 0.7647
113 O 0.3475 0.3542 0.7635
114 O 0.3416 0.6897 0.7554
115 O 0.3455 0.3109 0.2568
116 O 0.3420 0.6454 0.2636
117 O 0.3361 0.9784 0.2584
118 O 0.6522 0.3082 0.2322
119 O 0.6502 0.6428 0.2469
120 O 0.6565 0.9730 0.2366
121 O 0.4410 0.1843 0.5807
122 O 0.4343 0.5168 0.5730
123 O 0.4348 0.8515 0.5759
124 O 0.5603 0.1869 0.9246
125 O 0.5587 0.5231 0.9149
126 O 0.5647 0.8506 0.9183
127 O 0.5768 0.1530 0.4343
128 O 0.5719 0.4831 0.4111
129 O 0.5596 0.8117 0.4095
130 O 0.4432 0.1486 0.0882
131 O 0.4311 0.4857 0.0675
132 O 0.4338 0.8182 0.0646
133 O 0.9343 0.0168 0.5730
134 O 0.9348 0.3515 0.5759
135 O 0.9410 0.6843 0.5807
136 O 0.0587 0.0231 0.9149
137 O 0.0647 0.3506 0.9183
138 O 0.0603 0.6869 0.9246
139 O 0.0596 0.3117 0.4095
140 O 0.0768 0.6530 0.4343
141 O 0.0719 0.9831 0.4111
142 O 0.9338 0.3182 0.0646
143 O 0.9432 0.6486 0.0882
144 O 0.9311 0.9857 0.0675
145 O 0.2576 0.2727 0.7331
146 O 0.2668 0.6062 0.7623
147 O 0.2700 0.9373 0.7623
148 O 0.7413 0.2763 0.7570
149 O 0.7404 0.6107 0.7581
150 O 0.7416 0.9443 0.7523
151 O 0.7429 0.0537 0.2521
152 O 0.7391 0.3909 0.2550
153 O 0.7396 0.7236 0.2578
154 O 0.2515 0.0595 0.2313
155 O 0.2531 0.3907 0.2370
156 O 0.2590 0.7259 0.2509
157 O 0.7668 0.1062 0.7623
158 O 0.7700 0.4373 0.7623
159 O 0.7576 0.7727 0.7331
160 O 0.2404 0.1107 0.7581
161 O 0.2416 0.4443 0.7523
162 O 0.2413 0.7763 0.7570
163 O 0.2396 0.2236 0.2578
164 O 0.2429 0.5537 0.2521
165 O 0.2391 0.8909 0.2550
166 O 0.7590 0.2259 0.2509
167 O 0.7515 0.5595 0.2313
168 O 0.7531 0.8907 0.2370
169 O 0.3551 0.2845 0.5841
170 O 0.3450 0.6184 0.5777
171 O 0.3479 0.9505 0.5808
172 O 0.6393 0.2798 0.9038
173 O 0.6384 0.6199 0.9031
174 O 0.6473 0.9464 0.9127
175 O 0.6519 0.0428 0.4189
176 O 0.6470 0.3758 0.4167
177 O 0.6370 0.7156 0.4044
178 O 0.3580 0.0477 0.0953
179 O 0.3545 0.3861 0.0970
180 O 0.3438 0.7143 0.0759
181 O 0.8450 0.1184 0.5777
182 O 0.8479 0.4505 0.5808
183 O 0.8551 0.7845 0.5841
184 O 0.1384 0.1199 0.9031
185 O 0.1473 0.4464 0.9127
186 O 0.1393 0.7798 0.9038
187 O 0.1370 0.2156 0.4044
188 O 0.1519 0.5428 0.4189
189 O 0.1470 0.8758 0.4167
190 O 0.8438 0.2143 0.0759
191 O 0.8580 0.5477 0.0953
192 O 0.8545 0.8861 0.0970
193 O 0.4567 0.2771 0.9290
194 O 0.4619 0.6149 0.9217
195 O 0.4648 0.9432 0.9217
196 O 0.5451 0.2817 0.5636
197 O 0.5406 0.6177 0.5597
198 O 0.5429 0.9491 0.5658
199 O 0.5459 0.0505 0.0713
200 O 0.5426 0.3847 0.0683
201 O 0.5403 0.7168 0.0619
202 O 0.4486 0.0546 0.4398
203 O 0.4481 0.3901 0.4400
204 O 0.4572 0.7229 0.4225
205 O 0.9619 0.1149 0.9217
206 O 0.9648 0.4432 0.9217
207 O 0.9567 0.7771 0.9290
208 O 0.0406 0.1177 0.5597
209 O 0.0429 0.4491 0.5658
210 O 0.0451 0.7817 0.5636
211 O 0.0403 0.2168 0.0619
212 O 0.0459 0.5505 0.0713
213 O 0.0426 0.8847 0.0683
214 O 0.9572 0.2229 0.4225
215 O 0.9486 0.5546 0.4398
216 O 0.9481 0.8901 0.4400
217 O 0.0798 0.2845 0.7364
218 O 0.0881 0.6206 0.7620
219 O 0.0836 0.9521 0.7573
220 O 0.9250 0.2824 0.7538
221 O 0.9263 0.6156 0.7618
222 O 0.9228 0.9521 0.7610
223 O 0.9265 0.0518 0.2569
224 O 0.9292 0.3859 0.2584
225 O 0.9280 0.7201 0.2571
226 O 0.0778 0.0515 0.2309
227 O 0.0838 0.3801 0.2451
228 O 0.0821 0.7170 0.2416
229 O 0.5881 0.1206 0.7620
230 O 0.5836 0.4521 0.7573
231 O 0.5798 0.7845 0.7364
232 O 0.4263 0.1156 0.7618
233 O 0.4228 0.4521 0.7610
234 O 0.4250 0.7824 0.7538
235 O 0.4280 0.2201 0.2571
236 O 0.4265 0.5518 0.2569
237 O 0.4292 0.8859 0.2584
238 O 0.5821 0.2170 0.2416
239 O 0.5778 0.5515 0.2309
240 O 0.5838 0.8801 0.2451

#ii
Compound: Na9Mg4Nb2P9O36
Source: the Materials Project
Functional: PBE-GGA
Structure: optimized geometry

As for the crystal system: triclinic. The value obtained for the total magnetization is 0.000 Bohr magnetons per cell.

Cell lengths 9.0008, 22.0876, 23.7145 Å; angles 90.00, 79.09, 89.96 degrees
Positions (direct):
1 Na 0.0000 0.0000 0.0000
2 Na 0.9995 0.0983 0.3380
3 Na 0.0251 0.2582 0.6704
4 Na 0.0472 0.4289 0.1152
5 Na 0.0638 0.2530 0.4610
6 Na 0.0793 0.1674 0.7866
7 Na 0.0808 0.6830 0.7811
8 Na 0.1094 0.0841 0.1140
9 Na 0.2072 0.8527 0.5536
10 Na 0.2132 0.3455 0.5550
11 Na 0.2181 0.4200 0.9046
12 Na 0.2312 0.7642 0.8791
13 Na 0.2387 0.5922 0.2264
14 Na 0.2954 0.0147 0.3347
15 Na 0.2965 0.7704 0.6765
16 Na 0.3074 0.5881 0.0148
17 Na 0.3114 0.0803 0.6828
18 Na 0.3176 0.5186 0.3418
19 Na 0.3405 0.4263 0.6577
20 Na 0.3979 0.2579 0.7955
21 Na 0.4197 0.1649 0.1113
22 Na 0.4254 0.6694 0.1118
23 Na 0.4275 0.6041 0.7704
24 Na 0.4305 0.0958 0.4373
25 Na 0.4421 0.9135 0.7766
26 Na 0.4984 0.0911 0.2257
27 Na 0.5069 0.9201 0.5743
28 Na 0.5207 0.2642 0.5483
29 Na 0.5250 0.3386 0.8980
30 Na 0.5303 0.8309 0.9001
31 Na 0.5616 0.7459 0.2180
32 Na 0.6295 0.5997 0.3389
33 Na 0.6502 0.9302 0.3227
34 Na 0.6583 0.0011 0.6724
35 Na 0.6592 0.5166 0.6667
36 Na 0.6748 0.4312 0.9919
37 Na 0.6913 0.2552 0.3374
38 Na 0.7136 0.4259 0.7826
39 Na 0.7390 0.5850 0.1132
40 Na 0.7394 0.6834 0.4535
41 Na 0.7476 0.2516 0.1284
42 Na 0.7639 0.7571 0.7922
43 Na 0.7658 0.1809 0.4521
44 Na 0.8003 0.9280 0.1150
45 Na 0.8559 0.2581 0.8787
46 Na 0.8620 0.9174 0.9013
47 Na 0.8697 0.3419 0.2261
48 Na 0.8761 0.7660 0.5521
49 Na 0.8829 0.4257 0.5743
50 Na 0.8931 0.8414 0.2205
51 Na 0.9355 0.7542 0.3385
52 Na 0.9733 0.5040 0.0006
53 Na 0.9747 0.9271 0.6613
54 Na 0.9909 0.4320 0.3242
55 Mg 0.0864 0.0269 0.7829
56 Mg 0.0922 0.3211 0.7820
57 Mg 0.0939 0.8272 0.7830
58 Mg 0.1954 0.9931 0.5604
59 Mg 0.1981 0.1911 0.5587
60 Mg 0.2072 0.4897 0.5580
61 Mg 0.3124 0.6567 0.3383
62 Mg 0.3129 0.1580 0.3354
63 Mg 0.4239 0.0265 0.1157
64 Mg 0.4262 0.5261 0.1173
65 Mg 0.5314 0.1942 0.8950
66 Mg 0.5406 0.4930 0.8942
67 Mg 0.5426 0.6909 0.8927
68 Mg 0.6448 0.8569 0.6700
69 Mg 0.6465 0.3629 0.6709
70 Mg 0.6519 0.6572 0.6701
71 Mg 0.7529 0.8227 0.4497
72 Mg 0.7556 0.3242 0.4496
73 Mg 0.8540 0.4910 0.2253
74 Mg 0.8684 0.6928 0.2254
75 Mg 0.8858 0.1929 0.2268
76 Mg 0.8874 0.9910 0.2250
77 Mg 0.9830 0.3598 0.0032
78 Mg 0.9855 0.8610 0.0043
79 Nb 0.0848 0.5287 0.7807
80 Nb 0.2083 0.6923 0.5589
81 Nb 0.3118 0.8617 0.3408
82 Nb 0.3151 0.3624 0.3389
83 Nb 0.4184 0.8231 0.1105
84 Nb 0.4235 0.3214 0.1137
85 Nb 0.5303 0.9916 0.8941
86 Nb 0.6540 0.1553 0.6724
87 Nb 0.7571 0.5299 0.4509
88 Nb 0.7659 0.0269 0.4499
89 Nb 0.9732 0.6583 0.0040
90 Nb 0.9816 0.1539 0.0020
91 P 0.0100 0.0927 0.6593
92 P 0.0170 0.2577 0.3383
93 P 0.0496 0.4213 0.4500
94 P 0.0654 0.5908 0.1287
95 P 0.0784 0.2602 0.1016
96 P 0.1070 0.0937 0.4610
97 P 0.1164 0.7556 0.4351
98 P 0.1261 0.9300 0.1143
99 P 0.1713 0.0922 0.2265
100 P 0.1786 0.2623 0.9057
101 P 0.1877 0.9259 0.8807
102 P 0.2152 0.7575 0.2398
103 P 0.2295 0.4267 0.2133
104 P 0.2416 0.5912 0.8935
105 P 0.2716 0.7583 0.0030
106 P 0.2888 0.9266 0.6819
107 P 0.3036 0.5872 0.6576
108 P 0.3241 0.4288 0.0174
109 P 0.3403 0.0963 0.9919
110 P 0.3544 0.2598 0.6698
111 P 0.3846 0.4243 0.7829
112 P 0.3987 0.5878 0.4610
113 P 0.4144 0.2550 0.4354
114 P 0.4350 0.0967 0.7953
115 P 0.4496 0.7574 0.7710
116 P 0.4660 0.9258 0.4493
117 P 0.4961 0.0927 0.5596
118 P 0.5097 0.2573 0.2395
119 P 0.5222 0.9248 0.2125
120 P 0.5508 0.7582 0.5721
121 P 0.5600 0.4216 0.5472
122 P 0.5672 0.5944 0.2267
123 P 0.6099 0.7564 0.3393
124 P 0.6219 0.9289 0.0179
125 P 0.6324 0.5904 0.9919
126 P 0.6599 0.4240 0.3512
127 P 0.6731 0.0904 0.3242
128 P 0.6892 0.2627 0.0029
129 P 0.7210 0.4262 0.1148
130 P 0.7288 0.5912 0.7935
131 P 0.7426 0.2637 0.7702
132 P 0.7687 0.0938 0.1295
133 P 0.7823 0.7638 0.1033
134 P 0.7967 0.9241 0.7823
135 P 0.8284 0.0962 0.8914
136 P 0.8459 0.2623 0.5736
137 P 0.8604 0.9196 0.5476
138 P 0.8781 0.7645 0.9055
139 P 0.8926 0.4218 0.8792
140 P 0.9103 0.5878 0.5614
141 P 0.9418 0.7599 0.6704
142 P 0.9547 0.9214 0.3502
143 P 0.9691 0.5904 0.3234
144 P 0.9964 0.4204 0.6827
145 O 0.0063 0.9238 0.1695
146 O 0.0123 0.6437 0.1686
147 O 0.0182 0.2547 0.5667
148 O 0.0207 0.6009 0.0665
149 O 0.0218 0.6447 0.5521
150 O 0.0215 0.7656 0.7224
151 O 0.0232 0.9288 0.5550
152 O 0.0270 0.4765 0.7222
153 O 0.0308 0.3169 0.0730
154 O 0.0454 0.0340 0.6254
155 O 0.0447 0.0899 0.7201
156 O 0.0453 0.3633 0.7106
157 O 0.0472 0.7585 0.2380
158 O 0.0511 0.9228 0.0618
159 O 0.0572 0.4227 0.2189
160 O 0.0660 0.2024 0.0637
161 O 0.0670 0.0366 0.2371
162 O 0.0769 0.7487 0.6151
163 O 0.0777 0.1485 0.2179
164 O 0.0868 0.1490 0.6289
165 O 0.0913 0.9219 0.9411
166 O 0.0924 0.2072 0.9433
167 O 0.0943 0.4274 0.6225
168 O 0.1079 0.1547 0.4915
169 O 0.1076 0.6005 0.9469
170 O 0.1099 0.2012 0.3448
171 O 0.1219 0.4298 0.5021
172 O 0.1243 0.2562 0.8476
173 O 0.1267 0.3207 0.9378
174 O 0.1281 0.3153 0.3364
175 O 0.1320 0.9203 0.3460
176 O 0.1329 0.5957 0.3318
177 O 0.1367 0.9787 0.8484
178 O 0.1577 0.4222 0.0117
179 O 0.1603 0.0962 0.9948
180 O 0.1614 0.7524 0.4960
181 O 0.1637 0.0419 0.4930
182 O 0.1643 0.5828 0.8395
183 O 0.1693 0.6991 0.0122
184 O 0.1695 0.7031 0.3961
185 O 0.1738 0.4211 0.3922
186 O 0.1744 0.8125 0.9969
187 O 0.1941 0.5887 0.7192
188 O 0.1958 0.0944 0.3984
189 O 0.1966 0.8663 0.8463
190 O 0.1976 0.8154 0.4055
191 O 0.2099 0.8697 0.7120
192 O 0.2199 0.9873 0.1110
193 O 0.2337 0.2585 0.7255
194 O 0.2399 0.5880 0.1170
195 O 0.2396 0.9842 0.7171
196 O 0.2427 0.8115 0.2818
197 O 0.2441 0.8735 0.1145
198 O 0.2487 0.0970 0.2799
199 O 0.2492 0.9291 0.6205
200 O 0.2518 0.2640 0.1070
201 O 0.2523 0.6441 0.6243
202 O 0.2667 0.4165 0.2751
203 O 0.2740 0.7624 0.7775
204 O 0.2755 0.6997 0.2620
205 O 0.2756 0.0886 0.7842
206 O 0.2784 0.4813 0.7777
207 O 0.2808 0.5298 0.6255
208 O 0.2828 0.2522 0.6158
209 O 0.2850 0.3674 0.7907
210 O 0.2991 0.3719 0.1738
211 O 0.3001 0.0870 0.1728
212 O 0.2999 0.4858 0.1895
213 O 0.3055 0.2591 0.4936
214 O 0.3170 0.7705 0.1794
215 O 0.3245 0.5339 0.9072
216 O 0.3256 0.5320 0.4900
217 O 0.3412 0.4852 0.0526
218 O 0.3407 0.6452 0.4993
219 O 0.3406 0.6472 0.8818
220 O 0.3415 0.9340 0.5014
221 O 0.3431 0.7619 0.0595
222 O 0.3503 0.2556 0.8970
223 O 0.3618 0.0877 0.0534
224 O 0.3616 0.9366 0.8872
225 O 0.3679 0.3116 0.3992
226 O 0.3704 0.3720 0.0537
227 O 0.3774 0.5964 0.3995
228 O 0.3771 0.7475 0.5656
229 O 0.3884 0.4284 0.5558
230 O 0.3972 0.7500 0.9510
231 O 0.3978 0.0365 0.5707
232 O 0.3982 0.0389 0.9535
233 O 0.3981 0.1984 0.4002
234 O 0.3989 0.9227 0.3916
235 O 0.4131 0.1520 0.9628
236 O 0.4139 0.1499 0.5455
237 O 0.4238 0.9143 0.2750
238 O 0.4332 0.4246 0.9593
239 O 0.4376 0.5965 0.2803
240 O 0.4398 0.1984 0.2638
241 O 0.4398 0.3121 0.2791
242 O 0.4541 0.3166 0.6618
243 O 0.4554 0.4319 0.8370
244 O 0.4581 0.1542 0.8272
245 O 0.4602 0.2026 0.6751
246 O 0.4631 0.5954 0.6686
247 O 0.4645 0.9217 0.6755
248 O 0.4724 0.2675 0.1779
249 O 0.4735 0.9836 0.1890
250 O 0.4862 0.0398 0.8284
251 O 0.4866 0.4200 0.3461
252 O 0.4898 0.7547 0.8322
253 O 0.4924 0.5899 0.1726
254 O 0.4964 0.8697 0.1728
255 O 0.4970 0.8137 0.3380
256 O 0.4990 0.0942 0.3352
257 O 0.4986 0.6999 0.7355
258 O 0.5051 0.4256 0.7270
259 O 0.5138 0.6996 0.3416
260 O 0.5283 0.8143 0.7407
261 O 0.5402 0.8690 0.0474
262 O 0.5423 0.5893 0.0545
263 O 0.5426 0.8178 0.6064
264 O 0.5444 0.0954 0.7336
265 O 0.5632 0.8712 0.4547
266 O 0.5646 0.2629 0.0606
267 O 0.5672 0.9814 0.0566
268 O 0.5719 0.9840 0.4387
269 O 0.5734 0.1008 0.6134
270 O 0.5751 0.6420 0.9600
271 O 0.5774 0.9317 0.9567
272 O 0.5784 0.5880 0.4580
273 O 0.5809 0.2617 0.4410
274 O 0.6023 0.7054 0.6043
275 O 0.6027 0.7628 0.1081
276 O 0.6051 0.0888 0.1209
277 O 0.6101 0.3686 0.1164
278 O 0.6120 0.3633 0.5149
279 O 0.6144 0.4277 0.6052
280 O 0.6166 0.2543 0.9508
281 O 0.6284 0.4830 0.1087
282 O 0.6300 0.0830 0.5060
283 O 0.6319 0.5292 0.9614
284 O 0.6449 0.2568 0.8304
285 O 0.6462 0.4767 0.5094
286 O 0.6474 0.7619 0.5117
287 O 0.6513 0.5348 0.8236
288 O 0.6620 0.9353 0.8376
289 O 0.6629 0.6532 0.2193
290 O 0.6702 0.5408 0.2338
291 O 0.6727 0.4818 0.3892
292 O 0.6819 0.2614 0.2343
293 O 0.6878 0.7619 0.3911
294 O 0.6889 0.9220 0.2188
295 O 0.6934 0.5944 0.7327
296 O 0.6930 0.6498 0.8274
297 O 0.6937 0.3206 0.7420
298 O 0.7082 0.3673 0.3797
299 O 0.7119 0.2074 0.7307
300 O 0.7155 0.7553 0.8979
301 O 0.7168 0.0395 0.9005
302 O 0.7172 0.0834 0.3870
303 O 0.7168 0.9183 0.7304
304 O 0.7204 0.4295 0.8859
305 O 0.7231 0.0337 0.2882
306 O 0.7277 0.7620 0.2828
307 O 0.7394 0.1538 0.8872
308 O 0.7480 0.9260 0.6051
309 O 0.7560 0.1488 0.3006
310 O 0.7585 0.4313 0.2917
311 O 0.7621 0.2071 0.6103
312 O 0.7811 0.3209 0.9977
313 O 0.7806 0.5977 0.6109
314 O 0.7838 0.1508 0.1656
315 O 0.7920 0.4229 0.1686
316 O 0.7938 0.9221 0.0086
317 O 0.7952 0.2578 0.5150
318 O 0.7956 0.2082 0.0126
319 O 0.7978 0.3202 0.6074
320 O 0.8051 0.6008 0.0001
321 O 0.8110 0.9743 0.5085
322 O 0.8139 0.7559 0.1639
323 O 0.8263 0.4250 0.6815
324 O 0.8290 0.1018 0.6664
325 O 0.8342 0.0361 0.1523
326 O 0.8355 0.7063 0.6784
327 O 0.8392 0.8616 0.5155
328 O 0.8411 0.7057 0.0655
329 O 0.8431 0.5850 0.5032
330 O 0.8447 0.4210 0.0597
331 O 0.8495 0.8210 0.0741
332 O 0.8616 0.5810 0.3855
333 O 0.8651 0.8186 0.6546
334 O 0.8740 0.8655 0.7978
335 O 0.8766 0.1033 0.0674
336 O 0.8803 0.8653 0.3798
337 O 0.8930 0.2631 0.3933
338 O 0.8954 0.0991 0.9496
339 O 0.8992 0.9796 0.3884
340 O 0.9001 0.8224 0.9375
341 O 0.9034 0.6481 0.3008
342 O 0.9032 0.9777 0.7740
343 O 0.9098 0.5823 0.7864
344 O 0.9127 0.2591 0.7714
345 O 0.9133 0.9295 0.2914
346 O 0.9267 0.7100 0.9449
347 O 0.9332 0.0836 0.4536
348 O 0.9404 0.3638 0.8454
349 O 0.9429 0.4758 0.4403
350 O 0.9438 0.4262 0.9377
351 O 0.9444 0.7624 0.4440
352 O 0.9451 0.2609 0.2847
353 O 0.9549 0.5335 0.2871
354 O 0.9575 0.3631 0.4552
355 O 0.9579 0.0863 0.8419
356 O 0.9767 0.4769 0.8424
357 O 0.9791 0.2534 0.1611
358 O 0.9859 0.5306 0.1495
359 O 0.9906 0.7580 0.8479
360 O 0.9992 0.5302 0.5655

The winner here is #ii, beating the second structure by 5 meV/atom.